The following is a PBE+U calculation of KLaZrFeO6 after structural relaxation, from the Materials Project.

Cell and atoms, written as POSCAR:
```
KLaZrFeO6
1.0
0.0000 4.0363 4.0363
4.0363 0.0000 4.0363
4.0363 4.0363 0.0000
K La Zr Fe O
1 1 1 1 6
direct
0.0000 0.0000 0.0000
0.5000 0.5000 0.5000
0.2500 0.2500 0.2500
0.7500 0.7500 0.7500
0.5076 0.5076 0.9924
0.5076 0.9924 0.5076
0.5076 0.9924 0.9924
0.9924 0.5076 0.5076
0.9924 0.5076 0.9924
0.9924 0.9924 0.5076
```

Uncorrected energy: -0.2709 Ha/atom
Formation energy from the elements: -2.7333 eV per atom
Density: 5.3 g cm⁻³
Crystal system: cubic
Spin magnetization: 4.0 μB/f.u.

---

The following is a PBE+U calculation of KNa2LiTi2MnFeSi8O24 after structural relaxation, from the Materials Project.

Cell and atoms, written as POSCAR:
```
KNa2LiTi2MnFeSi8O24
1.0
8.3169 -6.3805 0.0000
8.3169 6.3805 0.0000
-4.3868 0.0000 9.1466
K Na Li Ti Mn Fe Si O
2 4 2 4 2 2 16 48
direct
0.0811 0.9189 0.5000
0.9189 0.0811 0.0000
0.0356 0.4344 0.4409
0.4344 0.0356 0.9409
0.5626 0.9618 0.5521
0.9618 0.5626 0.0521
0.4313 0.5635 0.9952
0.5635 0.4313 0.4952
0.3575 0.4635 0.6313
0.4635 0.3575 0.1313
0.4800 0.8352 0.1460
0.8352 0.4800 0.6460
0.5329 0.6462 0.3655
0.6462 0.5329 0.8655
0.1559 0.5218 0.8487
0.5218 0.1559 0.3487
0.0498 0.2389 0.8083
0.2037 0.2552 0.1385
0.2039 0.7500 0.1658
0.2389 0.0498 0.3083
0.2469 0.5398 0.3293
0.2518 0.7909 0.8334
0.2552 0.2037 0.6385
0.4543 0.7553 0.6686
0.5398 0.2469 0.8293
0.7469 0.7941 0.8593
0.7500 0.2039 0.6658
0.7553 0.4543 0.1686
0.7607 0.9466 0.1901
0.7909 0.2518 0.3334
0.7941 0.7469 0.3593
0.9466 0.7607 0.6901
0.0103 0.3994 0.8158
0.0824 0.8382 0.7749
0.1065 0.6870 0.0075
0.1106 0.2089 0.9696
0.1517 0.4204 0.2079
0.1545 0.9188 0.2273
0.1608 0.1713 0.2237
0.1713 0.1608 0.7237
0.1765 0.6830 0.2811
0.2089 0.1106 0.4696
0.2207 0.3677 0.6512
0.2252 0.5551 0.4865
0.2873 0.6263 0.8141
0.3153 0.8322 0.7261
0.3178 0.8888 0.9970
0.3271 0.4257 0.0067
0.3677 0.2207 0.1512
0.3695 0.7231 0.1779
0.3994 0.0103 0.3158
0.4046 0.4922 0.3165
0.4204 0.1517 0.7079
0.4257 0.3271 0.5067
0.4380 0.7840 0.5190
0.4879 0.5930 0.6714
0.4922 0.4046 0.8165
0.5551 0.2252 0.9865
0.5583 0.7013 0.0271
0.5797 0.8397 0.7969
0.5930 0.4879 0.1714
0.5963 0.9761 0.1739
0.6263 0.2873 0.3141
0.6303 0.7905 0.3397
0.6830 0.1765 0.7811
0.6870 0.1065 0.5075
0.7013 0.5583 0.5271
0.7231 0.3695 0.6779
0.7840 0.4380 0.0190
0.7899 0.8888 0.0289
0.7905 0.6303 0.8397
0.8273 0.8444 0.7757
0.8322 0.3153 0.2261
0.8382 0.0824 0.2749
0.8397 0.5797 0.2969
0.8444 0.8273 0.2757
0.8888 0.3178 0.4970
0.8888 0.7899 0.5289
0.9188 0.1545 0.7273
0.9761 0.5963 0.6739
```

Uncorrected energy: -0.2774 Ha/atom
Formation energy from the elements: -3.0267 eV per atom
Density: 3.1 g cm⁻³
Crystal system: monoclinic
Spin magnetization: 9.0 μB/f.u.

---

The following is a PBE+U calculation of KNa2LiTi2Fe2Si8O24 after structural relaxation, from the Materials Project.

Cell and atoms, written as POSCAR:
```
KNa2LiTi2Fe2Si8O24
1.0
8.2931 -6.4049 0.0000
8.2931 6.4049 0.0000
-4.3283 0.0000 9.1251
K Na Li Ti Fe Si O
2 4 2 4 4 16 48
direct
0.0829 0.9171 0.5000
0.9171 0.0829 0.0000
0.0381 0.4422 0.4557
0.4422 0.0381 0.9557
0.5628 0.9662 0.5571
0.9662 0.5628 0.0571
0.4396 0.5680 0.0102
0.5680 0.4396 0.5102
0.1703 0.5179 0.8555
0.5179 0.1703 0.3555
0.5389 0.6409 0.3674
0.6409 0.5389 0.8674
0.3532 0.4717 0.6379
0.4717 0.3532 0.1379
0.4801 0.8448 0.1523
0.8448 0.4801 0.6523
0.0528 0.2408 0.8115
0.2066 0.2522 0.1403
0.2116 0.7470 0.1667
0.2408 0.0528 0.3115
0.2472 0.5421 0.3298
0.2522 0.2066 0.6403
0.2521 0.7959 0.8334
0.4605 0.7522 0.6680
0.5421 0.2472 0.8298
0.7442 0.7976 0.8616
0.7470 0.2116 0.6667
0.7522 0.4605 0.1680
0.7605 0.9523 0.1927
0.7959 0.2521 0.3334
0.7976 0.7442 0.3616
0.9523 0.7605 0.6927
0.0256 0.4053 0.8294
0.0834 0.8443 0.7731
0.1086 0.2090 0.9718
0.1140 0.6804 0.0031
0.1581 0.1722 0.2266
0.1610 0.4190 0.2017
0.1650 0.9159 0.2254
0.1711 0.6828 0.2754
0.1722 0.1581 0.7266
0.2090 0.1086 0.4718
0.2107 0.3702 0.6594
0.2218 0.5559 0.4817
0.2788 0.6303 0.8207
0.3036 0.4407 0.9744
0.3153 0.8945 0.9908
0.3165 0.8211 0.7140
0.3702 0.2107 0.1594
0.3756 0.7139 0.1840
0.4053 0.0256 0.3294
0.4081 0.5083 0.3223
0.4190 0.1610 0.7017
0.4407 0.3036 0.4744
0.4458 0.7728 0.5099
0.5083 0.4081 0.8223
0.5084 0.5947 0.6804
0.5559 0.2218 0.9817
0.5723 0.6747 0.9922
0.5796 0.8478 0.7894
0.5947 0.5084 0.1804
0.5997 0.9901 0.1847
0.6303 0.2788 0.3207
0.6347 0.7788 0.3516
0.6747 0.5723 0.4922
0.6804 0.1140 0.5031
0.6828 0.1711 0.7754
0.7139 0.3756 0.6840
0.7728 0.4458 0.0099
0.7788 0.6347 0.8516
0.7880 0.8938 0.0298
0.8211 0.3165 0.2140
0.8306 0.8386 0.7765
0.8386 0.8306 0.2765
0.8443 0.0834 0.2731
0.8478 0.5796 0.2894
0.8938 0.7880 0.5298
0.8945 0.3153 0.4908
0.9159 0.1650 0.7254
0.9901 0.5997 0.6847
```

Uncorrected energy: -0.2753 Ha/atom
Formation energy from the elements: -3.0029 eV per atom
Density: 3.1 g cm⁻³
Crystal system: monoclinic
Spin magnetization: 8.0 μB/f.u.

---

The following is a PBE+U calculation of K8Li13Fe4O16 after structural relaxation, from the Materials Project.

Cell and atoms, written as POSCAR:
```
K8Li13Fe4O16
1.0
5.6984 0.0000 0.0000
0.4636 8.8010 0.0000
1.4568 -0.0606 10.8575
K Li Fe O
8 13 4 16
direct
0.0000 0.0000 0.0000
0.0125 0.6876 0.5348
0.2440 0.9373 0.3262
0.2833 0.1893 0.7885
0.4740 0.6930 0.0358
0.5630 0.4352 0.5240
0.7534 0.3811 0.8751
0.7664 0.1789 0.2973
0.0318 0.6932 0.8836
0.0780 0.4257 0.3467
0.1136 0.4662 0.6957
0.2223 0.4620 0.9907
0.2407 0.1910 0.4859
0.3404 0.9442 0.6106
0.4673 0.4625 0.2533
0.5598 0.9569 0.8818
0.5653 0.6830 0.3717
0.6701 0.8920 0.1638
0.7121 0.9231 0.4794
0.8379 0.4378 0.1228
0.9479 0.9095 0.7414
0.3416 0.2241 0.1252
0.4717 0.7146 0.7380
0.8211 0.1466 0.6244
0.9826 0.6671 0.2332
0.0301 0.9859 0.5564
0.0742 0.2787 0.0426
0.2579 0.6217 0.3243
0.2675 0.8821 0.8006
0.2759 0.2443 0.3027
0.3005 0.5355 0.8037
0.4792 0.0192 0.0764
0.5117 0.4010 0.0817
0.5140 0.7432 0.5650
0.5403 0.1222 0.5492
0.7554 0.7405 0.8055
0.7640 0.8575 0.3107
0.7647 0.1002 0.7939
0.7727 0.4884 0.3067
0.9720 0.6561 0.0557
0.9970 0.3305 0.5976
```

Uncorrected energy: -0.1794 Ha/atom
Formation energy from the elements: -1.7915 eV per atom
Density: 2.7 g cm⁻³
Crystal system: triclinic
Spin magnetization: 19.0 μB/f.u.

---

The following is a PBE+U calculation of K8Li9Fe4O16 after structural relaxation, from the Materials Project.

Cell and atoms, written as POSCAR:
```
K8Li9Fe4O16
1.0
5.5676 0.0000 0.0000
0.0193 9.1421 0.0000
1.5839 0.2248 10.3690
K Li Fe O
8 9 4 16
direct
0.0000 0.0000 0.0000
0.0066 0.2485 0.4785
0.1903 0.5149 0.2320
0.2607 0.7980 0.7295
0.4697 0.2454 0.9752
0.5255 0.5164 0.4986
0.7136 0.7798 0.2291
0.7339 0.0238 0.7083
0.0849 0.0246 0.2810
0.1997 0.5316 0.9160
0.2866 0.7592 0.0583
0.4331 0.2695 0.6591
0.6388 0.0081 0.4262
0.7678 0.4934 0.0601
0.7800 0.7761 0.5487
0.9489 0.5499 0.6598
0.9521 0.2614 0.1598
0.0132 0.3111 0.8040
0.1874 0.8016 0.4161
0.5384 0.2325 0.2935
0.6917 0.7154 0.9061
0.0297 0.6265 0.4807
0.1650 0.1368 0.7737
0.2133 0.4638 0.7358
0.2142 0.8197 0.2350
0.2468 0.2165 0.2292
0.4842 0.5832 0.0002
0.4844 0.8135 0.4769
0.5016 0.2131 0.4755
0.5143 0.8806 0.9350
0.6983 0.4087 0.2340
0.7616 0.3220 0.7115
0.7657 0.0853 0.2340
0.7858 0.7293 0.7316
0.9602 0.9496 0.4702
0.9692 0.6842 0.9842
0.9954 0.3358 0.9796
```

Uncorrected energy: -0.1834 Ha/atom
Formation energy from the elements: -1.7705 eV per atom
Density: 2.7 g cm⁻³
Crystal system: triclinic
Spin magnetization: 17.0 μB/f.u.

---

The following is a PBE+U calculation of K8Li3Fe4O16 after structural relaxation, from the Materials Project.

Cell and atoms, written as POSCAR:
```
K8Li3Fe4O16
1.0
5.5532 0.0000 0.0000
0.1390 8.4496 0.0000
0.9960 0.6957 10.8807
K Li Fe O
8 3 4 16
direct
0.0000 0.0000 0.0000
0.0048 0.7253 0.5354
0.0898 0.2350 0.7094
0.1227 0.5114 0.2328
0.4791 0.0023 0.4780
0.5205 0.2435 0.0667
0.5926 0.7558 0.1952
0.6027 0.4799 0.7362
0.0158 0.7665 0.7995
0.0785 0.2582 0.4291
0.5891 0.7153 0.9344
0.0000 0.0219 0.3014
0.0932 0.5165 0.9349
0.5135 0.9651 0.7996
0.5925 0.4560 0.4307
0.1079 0.8345 0.2712
0.1143 0.5429 0.7739
0.1754 0.1857 0.2618
0.2397 0.9321 0.7394
0.3661 0.5491 0.9967
0.3849 0.3217 0.4904
0.4886 0.9393 0.9605
0.5048 0.6413 0.4618
0.6077 0.1586 0.7772
0.6312 0.4474 0.2782
0.6856 0.7963 0.7549
0.7330 0.0307 0.2360
0.8681 0.4304 0.4882
0.9197 0.6824 0.9829
0.9652 0.0429 0.4597
0.9918 0.3250 0.9574
```

Uncorrected energy: -0.1841 Ha/atom
Formation energy from the elements: -1.5375 eV per atom
Density: 2.6 g cm⁻³
Crystal system: triclinic
Spin magnetization: 11.0 μB/f.u.